Compound: Nb2P3O12
Source: Materials Project
Functional: meta-GGA r2SCAN
Structure: optimized geometry

The space group is R-3c (No. 167, hexagonal axes) and the conventional cell measures 8.8163, 8.8163 and 22.0624 Å, with angles of 90.00, 90.00 and 120.00 degrees. The asymmetric unit holds Nb at (0.0000, 0.0000, 0.1410), P at (0.0000, 0.2842, 0.2500), O at (0.0251, 0.1985, 0.1939) and O at (0.0293, 0.2013, 0.9096).

Its energy of formation from the pure elements is -2.564 eV/atom. As for the uncorrected energy: -1150.4 eV per cell. As for the size of the total moment: 1.00 μB per formula unit.

---

Compound: Nb2PbO6
Source: Materials Project
Functional: meta-GGA r2SCAN
Structure: optimized geometry

The space group is R3 (No. 146, hexagonal axes) and the conventional cell measures 10.5766, 10.5766 and 11.6586 Å, with angles of 90.00, 90.00 and 120.00 degrees. The asymmetric unit holds Nb at (0.0038, 0.6526, 0.0000), Nb at (0.0189, 0.3376, 0.2975), Pb at (0.0000, 0.0000, 0.1599), Pb at (0.0000, 0.0000, 0.4734), Pb at (0.0000, 0.0000, 0.8026), O at (0.0010, 0.2767, 0.4789), O at (0.0295, 0.5150, 0.6141), O at (0.0582, 0.6705, 0.1520), O at (0.0940, 0.1885, 0.2918), O at (0.1817, 0.3645, 0.6824) and O at (0.1921, 0.0964, 0.6749).

Its energy of formation from the pure elements is -2.485 eV/atom. As for the uncorrected energy: -1475.6 eV per cell. As for the size of the total moment: 0.00 μB per formula unit.

---

Compound: Nb2PbO6
Source: Materials Project
Functional: meta-GGA r2SCAN
Structure: optimized geometry

The space group is R3m (No. 160, hexagonal axes) and the conventional cell measures 10.6140, 10.6140 and 11.5823 Å, with angles of 90.00, 90.00 and 120.00 degrees. The asymmetric unit holds Nb at (0.0186, 0.3382, 0.0000), Pb at (0.0000, 0.0000, 0.1535), Pb at (0.0000, 0.0000, 0.4970), Pb at (0.0000, 0.0000, 0.8501), O at (0.0008, 0.2777, 0.1788), O at (0.0299, 0.5150, 0.3146), O at (0.0934, 0.1868, 0.9868), O at (0.1823, 0.3646, 0.3810) and O at (0.1947, 0.0973, 0.3733).

Its energy of formation from the pure elements is -2.482 eV/atom. As for the uncorrected energy: -1475.3 eV per cell. As for the size of the total moment: 0.00 μB per formula unit.

---

Compound: Nb2PbO6
Source: Materials Project
Functional: meta-GGA r2SCAN
Structure: optimized geometry

The space group is R-3 (No. 148, hexagonal axes) and the conventional cell measures 10.5739, 10.5739 and 11.6664 Å, with angles of 90.00, 90.00 and 120.00 degrees. The asymmetric unit holds Nb at (0.0043, 0.6525, 0.0178), Pb at (0.0000, 0.0000, 0.1792), Pb at (0.0000, 0.0000, 0.5000), O at (0.0022, 0.2780, 0.4967), O at (0.0305, 0.5156, 0.6325) and O at (0.0947, 0.1901, 0.3090).

Its energy of formation from the pure elements is -2.485 eV/atom. As for the uncorrected energy: -1475.6 eV per cell. As for the size of the total moment: 0.00 μB per formula unit.

---

Compound: RbNbO3
Source: Materials Project
Functional: meta-GGA r2SCAN
Structure: optimized geometry

The space group is P-1 (No. 2) and the conventional cell measures 5.1457, 8.4724 and 8.9916 Å, with angles of 114.21, 93.50 and 94.76 degrees. The asymmetric unit holds Rb at (0.0000, 0.0000, 0.0000), Rb at (0.0000, 0.0000, 0.5000), Rb at (0.4112, 0.7022, 0.0953), Nb at (0.0258, 0.5120, 0.3123), Nb at (0.4970, 0.2826, 0.3554), O at (0.0987, 0.3901, 0.8180), O at (0.2154, 0.7205, 0.7746), O at (0.2364, 0.4251, 0.5092), O at (0.2836, 0.7174, 0.4564), O at (0.2970, 0.3751, 0.2028) and O at (0.3467, 0.0588, 0.2698).

Its energy of formation from the pure elements is -2.622 eV/atom. As for the uncorrected energy: -278.8 eV per cell. As for the size of the total moment: 0.00 μB per formula unit.

---

Compound: Rb3NbO8
Source: Materials Project
Functional: meta-GGA r2SCAN
Structure: optimized geometry

The space group is I-42m (No. 121) and the conventional cell measures 7.1178, 7.1178 and 7.9660 Å, with angles of 90.00, 90.00 and 90.00 degrees. The asymmetric unit holds Rb at (0.0000, 0.0000, 0.0000), Rb at (0.0000, 0.5000, 0.2500), Nb at (0.0000, 0.0000, 0.5000), O at (0.1372, 0.1372, 0.6865) and O at (0.2064, 0.2064, 0.5202).

Its energy of formation from the pure elements is -1.485 eV/atom. As for the uncorrected energy: -264.2 eV per cell. As for the size of the total moment: 0.00 μB per formula unit.

---

> What is the formula in the third record?

Nb2PbO6